Entry 1:
Density functional theory data (PBE-GGA) for a geometry-optimized Pu3Ta structure.

Lattice parameters (Å, degrees): 5.3962 5.3962 5.3962 130.42 130.42 72.73
Last column: nearest neighbours and their distance in Å.
Atoms (fractional coordinates):
Ta  0.0000  0.0000  0.0000  12 Pu 3.14-3.20
Pu  0.5000  0.5000  0.0000  8 Pu 3.14, 4 Ta 3.20
Pu  0.2500  0.7500  0.5000  8 Pu 3.14-3.20, 4 Ta 3.14
Pu  0.7500  0.2500  0.5000  8 Pu 3.14-3.20, 4 Ta 3.14

Values from the calculation:
* relative energy among the computed polymorphs: 0.00 eV/f.u.
* E_tot: -13.460 eV per atom

***

Entry 2:
Density functional theory data (PBE-GGA) for a geometry-optimized MnGa structure.

Lattice parameters (Å, degrees): 7.8537 7.8572 7.8558 108.78 108.83 108.90
Last column: nearest neighbours and their distance in Å.
Atoms (fractional coordinates):
Mn  0.1877  0.1877  0.8330  7 Ga 2.60-2.87, 5 Mn 2.71-2.85
Mn  0.1768  0.1768  0.3962  6 Mn 2.59-2.80, 6 Ga 2.59-2.81
Mn  0.1876  0.8332  0.1877  7 Ga 2.60-2.87, 5 Mn 2.71-2.85
Mn  0.1767  0.3963  0.1767  6 Ga 2.59-2.81, 6 Mn 2.59-2.81
Mn  0.6038  0.8231  0.8234  6 Ga 2.59-2.81, 6 Mn 2.60-2.81
Mn  0.8122  0.1669  0.8123  7 Ga 2.60-2.87, 5 Mn 2.71-2.85
Mn  0.8234  0.8233  0.6039  6 Mn 2.59-2.80, 6 Ga 2.59-2.81
Mn  0.3960  0.1768  0.1767  6 Ga 2.59-2.81, 6 Mn 2.59-2.81
Mn  0.5001  0.5001  0.5000  6 Mn 2.59-2.60, 6 Ga 2.64
Mn  0.8233  0.6038  0.8233  6 Ga 2.59-2.81, 6 Mn 2.59-2.81
Mn  0.1670  0.8123  0.8122  7 Ga 2.60-2.87, 5 Mn 2.71-2.85
Mn  0.8123  0.8123  0.1669  7 Ga 2.60-2.87, 5 Mn 2.71-2.85
Mn  0.8332  0.1877  0.1878  7 Ga 2.60-2.87, 5 Mn 2.71-2.85
Ga  0.1211  0.8790  0.5000  6 Mn 2.61-2.68, 2 Ga 2.88
Ga  0.5403  0.5404  0.1918  6 Mn 2.60-2.87, 3 Ga 2.68-2.85
Ga  0.0000  0.0000  0.0000  12 Mn 2.59-2.68
Ga  0.1211  0.5001  0.8791  6 Mn 2.61-2.69, 2 Ga 2.88
Ga  0.4596  0.4597  0.8083  6 Mn 2.60-2.87, 3 Ga 2.68-2.85
Ga  0.8083  0.4597  0.4597  6 Mn 2.60-2.87, 3 Ga 2.67-2.85
Ga  0.1917  0.5403  0.5402  6 Mn 2.60-2.87, 3 Ga 2.67-2.85
Ga  0.8789  0.1210  0.5000  6 Mn 2.61-2.69, 2 Ga 2.88
Ga  0.5403  0.1918  0.5403  6 Mn 2.60-2.87, 3 Ga 2.68-2.85
Ga  0.4596  0.8082  0.4597  6 Mn 2.60-2.87, 3 Ga 2.68-2.85
Ga  0.8789  0.4999  0.1210  6 Mn 2.61-2.68, 2 Ga 2.88
Ga  0.4999  0.8789  0.1210  6 Mn 2.61-2.68, 2 Ga 2.88
Ga  0.5001  0.1209  0.8790  6 Mn 2.61-2.68, 2 Ga 2.88

Values from the calculation:
* E_tot: -6.185 eV per atom